Density functional theory data (PBE-GGA) for a geometry-optimized Ce3InC structure.

Structure (POSCAR):
```
Ce3InC
1.0
-4.592 0.156 1.963
0.983 -4.134 2.627
1.706 2.801 3.769
Ce C In
3 1 1
direct
0.500 0.500 0.000
0.500 0.000 0.500
0.000 0.500 0.500
0.500 0.500 0.500
0.000 0.000 0.000
```

Calculated values
DFT formation energy: -0.323 eV per atom
calculated volume: 24.941 Å³/atom